No. 1
A relaxed SnICl crystal, computed with meta-GGA r2SCAN.

## Properties
Magnetization = 0.000 μB per atom
Symmetry = Pnma, No. 62
Total energy = -231.45 eV for the cell shown

Lattice parameters (Å, degrees): 8.790 4.410 10.428 90.00 90.00 90.00
Element x y z (fractional)
1 Sn 0.131 0.250 0.148
2 Sn 0.369 0.750 0.648
3 Sn 0.631 0.250 0.352
4 Sn 0.869 0.750 0.852
5 I 0.010 0.750 0.327
6 I 0.490 0.250 0.827
7 I 0.510 0.750 0.173
8 I 0.990 0.250 0.673
9 Cl 0.141 0.750 0.948
10 Cl 0.359 0.250 0.448
11 Cl 0.641 0.750 0.552
12 Cl 0.859 0.250 0.052


No. 2
A relaxed InCl crystal, computed with meta-GGA r2SCAN.

## Properties
Magnetization = 0.000 μB per atom
Symmetry = P2_13, No. 198
Total energy = -977.68 eV for the cell shown

Lattice parameters (Å, degrees): 12.333 12.333 12.333 90.00 90.00 90.00
Element x y z (fractional)
1 In 0.029 0.252 0.218
2 In 0.030 0.249 0.722
3 In 0.030 0.970 0.470
4 In 0.035 0.465 0.535
5 In 0.218 0.029 0.252
6 In 0.222 0.470 0.751
7 In 0.248 0.782 0.529
8 In 0.249 0.722 0.030
9 In 0.251 0.278 0.530
10 In 0.252 0.218 0.029
11 In 0.278 0.530 0.251
12 In 0.282 0.971 0.752
13 In 0.465 0.535 0.035
14 In 0.470 0.030 0.970
15 In 0.470 0.751 0.222
16 In 0.471 0.748 0.718
17 In 0.529 0.248 0.782
18 In 0.530 0.251 0.278
19 In 0.530 0.530 0.530
20 In 0.535 0.035 0.465
21 In 0.718 0.471 0.748
22 In 0.722 0.030 0.249
23 In 0.748 0.718 0.471
24 In 0.749 0.778 0.970
25 In 0.751 0.222 0.470
26 In 0.752 0.282 0.971
27 In 0.778 0.970 0.749
28 In 0.782 0.529 0.248
29 In 0.965 0.965 0.965
30 In 0.970 0.470 0.030
31 In 0.970 0.749 0.778
32 In 0.971 0.752 0.282
33 Cl 0.001 0.696 0.554
34 Cl 0.016 0.696 0.060
35 Cl 0.054 0.499 0.304
36 Cl 0.060 0.016 0.696
37 Cl 0.196 0.440 0.984
38 Cl 0.196 0.946 0.999
39 Cl 0.198 0.698 0.802
40 Cl 0.205 0.795 0.295
41 Cl 0.295 0.205 0.795
42 Cl 0.302 0.302 0.302
43 Cl 0.304 0.054 0.499
44 Cl 0.304 0.560 0.484
45 Cl 0.440 0.984 0.196
46 Cl 0.446 0.501 0.804
47 Cl 0.484 0.304 0.560
48 Cl 0.499 0.304 0.054
49 Cl 0.501 0.804 0.446
50 Cl 0.516 0.804 0.940
51 Cl 0.554 0.001 0.696
52 Cl 0.560 0.484 0.304
53 Cl 0.696 0.060 0.016
54 Cl 0.696 0.554 0.001
55 Cl 0.698 0.802 0.198
56 Cl 0.705 0.705 0.705
57 Cl 0.795 0.295 0.205
58 Cl 0.802 0.198 0.698
59 Cl 0.804 0.446 0.501
60 Cl 0.804 0.940 0.516
61 Cl 0.940 0.516 0.804
62 Cl 0.946 0.999 0.196
63 Cl 0.984 0.196 0.440
64 Cl 0.999 0.196 0.946


No. 3
A relaxed InCl crystal, computed with meta-GGA r2SCAN.

## Properties
Magnetization = 0.000 μB per atom
Symmetry = Cmcm, No. 63
Total energy = -61.09 eV for the cell shown

Lattice parameters (Å, degrees): 6.479 6.479 4.434 90.00 90.00 140.99
Element x y z (fractional)
1 In 0.110 0.890 0.750
2 In 0.890 0.110 0.250
3 Cl 0.340 0.660 0.750
4 Cl 0.660 0.340 0.250


No. 4
A relaxed In5Cl9 crystal, computed with meta-GGA r2SCAN.

## Properties
Magnetization = 0.000 μB per atom
Symmetry = R-3c, No. 167
Total energy = -367.91 eV for the cell shown

Lattice parameters (Å, degrees): 9.301 9.301 9.301 83.49 83.49 83.49
Element x y z (fractional)
1 In 0.066 0.750 0.434
2 In 0.148 0.148 0.148
3 In 0.250 0.566 0.934
4 In 0.352 0.352 0.352
5 In 0.434 0.066 0.750
6 In 0.566 0.934 0.250
7 In 0.648 0.648 0.648
8 In 0.750 0.434 0.066
9 In 0.852 0.852 0.852
10 In 0.934 0.250 0.566
11 Cl 0.079 0.271 0.918
12 Cl 0.082 0.921 0.729
13 Cl 0.093 0.407 0.250
14 Cl 0.229 0.421 0.582
15 Cl 0.250 0.093 0.407
16 Cl 0.271 0.918 0.079
17 Cl 0.407 0.250 0.093
18 Cl 0.418 0.771 0.579
19 Cl 0.421 0.582 0.229
20 Cl 0.579 0.418 0.771
21 Cl 0.582 0.229 0.421
22 Cl 0.593 0.750 0.907
23 Cl 0.729 0.082 0.921
24 Cl 0.750 0.907 0.593
25 Cl 0.771 0.579 0.418
26 Cl 0.907 0.593 0.750
27 Cl 0.918 0.079 0.271
28 Cl 0.921 0.729 0.082


No. 5
A relaxed In7Cl9 crystal, computed with meta-GGA r2SCAN.

## Properties
Magnetization = 0.000 μB per atom
Symmetry = Pa-3, No. 205
Total energy = -919.13 eV for the cell shown

Lattice parameters (Å, degrees): 12.232 12.232 12.232 90.00 90.00 90.00
Element x y z (fractional)
1 In 0.000 0.000 0.000
2 In 0.000 0.500 0.500
3 In 0.068 0.172 0.682
4 In 0.068 0.328 0.182
5 In 0.172 0.682 0.068
6 In 0.172 0.818 0.568
7 In 0.182 0.068 0.328
8 In 0.182 0.432 0.828
9 In 0.318 0.568 0.328
10 In 0.318 0.932 0.828
11 In 0.328 0.182 0.068
12 In 0.328 0.318 0.568
13 In 0.432 0.672 0.682
14 In 0.432 0.828 0.182
15 In 0.500 0.000 0.500
16 In 0.500 0.500 0.000
17 In 0.568 0.172 0.818
18 In 0.568 0.328 0.318
19 In 0.672 0.682 0.432
20 In 0.672 0.818 0.932
21 In 0.682 0.068 0.172
22 In 0.682 0.432 0.672
23 In 0.818 0.568 0.172
24 In 0.818 0.932 0.672
25 In 0.828 0.182 0.432
26 In 0.828 0.318 0.932
27 In 0.932 0.672 0.818
28 In 0.932 0.828 0.318
29 Cl 0.000 0.000 0.500
30 Cl 0.000 0.500 0.000
31 Cl 0.044 0.550 0.304
32 Cl 0.044 0.950 0.804
33 Cl 0.050 0.196 0.956
34 Cl 0.050 0.304 0.456
35 Cl 0.166 0.666 0.834
36 Cl 0.166 0.834 0.334
37 Cl 0.196 0.544 0.550
38 Cl 0.196 0.956 0.050
39 Cl 0.304 0.044 0.550
40 Cl 0.304 0.456 0.050
41 Cl 0.334 0.166 0.834
42 Cl 0.334 0.334 0.334
43 Cl 0.450 0.696 0.956
44 Cl 0.450 0.804 0.456
45 Cl 0.456 0.050 0.304
46 Cl 0.456 0.450 0.804
47 Cl 0.500 0.000 0.000
48 Cl 0.500 0.500 0.500
49 Cl 0.544 0.550 0.196
50 Cl 0.544 0.950 0.696
51 Cl 0.550 0.196 0.544
52 Cl 0.550 0.304 0.044
53 Cl 0.666 0.666 0.666
54 Cl 0.666 0.834 0.166
55 Cl 0.696 0.544 0.950
56 Cl 0.696 0.956 0.450
57 Cl 0.804 0.044 0.950
58 Cl 0.804 0.456 0.450
59 Cl 0.834 0.166 0.666
60 Cl 0.834 0.334 0.166
61 Cl 0.950 0.696 0.544
62 Cl 0.950 0.804 0.044
63 Cl 0.956 0.050 0.196
64 Cl 0.956 0.450 0.696


No. 6
A relaxed Na3InCl6 crystal, computed with meta-GGA r2SCAN.

## Properties
Magnetization = 0.000 μB per atom
Symmetry = P-31c, No. 163
Total energy = -175.41 eV for the cell shown

Lattice parameters (Å, degrees): 6.892 6.892 12.395 90.00 90.00 120.00
Element x y z (fractional)
1 Na 0.000 0.000 0.250
2 Na 0.000 0.000 0.750
3 Na 0.333 0.667 0.039
4 Na 0.333 0.667 0.461
5 Na 0.667 0.333 0.539
6 Na 0.667 0.333 0.961
7 In 0.333 0.667 0.750
8 In 0.667 0.333 0.250
9 Cl 0.046 0.363 0.628
10 Cl 0.046 0.683 0.872
11 Cl 0.317 0.363 0.872
12 Cl 0.317 0.954 0.628
13 Cl 0.363 0.046 0.128
14 Cl 0.363 0.317 0.372
15 Cl 0.637 0.683 0.628
16 Cl 0.637 0.954 0.872
17 Cl 0.683 0.046 0.372
18 Cl 0.683 0.637 0.128
19 Cl 0.954 0.317 0.128
20 Cl 0.954 0.637 0.372


No. 7
A relaxed PrIn2Cl5 crystal, computed with meta-GGA r2SCAN.

## Properties
Magnetization = 0.000 μB per atom
Symmetry = Pnma, No. 62
Total energy = -477.29 eV for the cell shown

Lattice parameters (Å, degrees): 12.762 8.867 8.124 90.00 90.00 90.00
Element x y z (fractional)
1 Pr 0.007 0.250 0.077
2 Pr 0.493 0.750 0.577
3 Pr 0.507 0.250 0.423
4 Pr 0.993 0.750 0.923
5 In 0.171 0.008 0.557
6 In 0.171 0.492 0.557
7 In 0.329 0.508 0.057
8 In 0.329 0.992 0.057
9 In 0.671 0.008 0.943
10 In 0.671 0.492 0.943
11 In 0.829 0.508 0.443
12 In 0.829 0.992 0.443
13 Cl 0.005 0.250 0.424
14 Cl 0.073 0.545 0.170
15 Cl 0.073 0.955 0.170
16 Cl 0.189 0.250 0.890
17 Cl 0.208 0.750 0.843
18 Cl 0.292 0.250 0.343
19 Cl 0.311 0.750 0.390
20 Cl 0.427 0.045 0.670
21 Cl 0.427 0.455 0.670
22 Cl 0.495 0.750 0.924
23 Cl 0.505 0.250 0.076
24 Cl 0.573 0.545 0.330
25 Cl 0.573 0.955 0.330
26 Cl 0.689 0.250 0.610
27 Cl 0.708 0.750 0.657
28 Cl 0.792 0.250 0.157
29 Cl 0.811 0.750 0.110
30 Cl 0.927 0.045 0.830
31 Cl 0.927 0.455 0.830
32 Cl 0.995 0.750 0.576


No. 8
A relaxed Rb3InCl6 crystal, computed with meta-GGA r2SCAN.

## Properties
Magnetization = 0.000 μB per atom
Symmetry = Fm-3m, No. 225
Total energy = -119.51 eV for the cell shown

Lattice parameters (Å, degrees): 7.870 7.870 7.870 60.00 60.00 60.00
Element x y z (fractional)
1 Rb 0.000 0.000 0.000
2 Rb 0.250 0.250 0.250
3 Rb 0.750 0.750 0.750
4 In 0.500 0.500 0.500
5 Cl 0.274 0.274 0.726
6 Cl 0.274 0.726 0.274
7 Cl 0.274 0.726 0.726
8 Cl 0.726 0.274 0.274
9 Cl 0.726 0.274 0.726
10 Cl 0.726 0.726 0.274


No. 9
A relaxed In5S5Cl crystal, computed with meta-GGA r2SCAN.

## Properties
Magnetization = 0.000 μB per atom
Symmetry = P2_1/m, No. 11
Total energy = -335.25 eV for the cell shown

Lattice parameters (Å, degrees): 8.984 3.936 15.227 90.00 93.69 90.00
Element x y z (fractional)
1 In 0.044 0.250 0.145
2 In 0.136 0.250 0.563
3 In 0.238 0.750 0.791
4 In 0.343 0.750 0.054
5 In 0.370 0.250 0.343
6 In 0.630 0.750 0.657
7 In 0.657 0.250 0.946
8 In 0.762 0.250 0.209
9 In 0.864 0.750 0.437
10 In 0.956 0.750 0.855
11 S 0.034 0.250 0.400
12 S 0.167 0.250 0.001
13 S 0.209 0.750 0.203
14 S 0.317 0.250 0.700
15 S 0.465 0.750 0.901
16 S 0.535 0.250 0.099
17 S 0.683 0.750 0.300
18 S 0.791 0.250 0.797
19 S 0.833 0.750 0.999
20 S 0.966 0.750 0.600
21 Cl 0.327 0.750 0.507
22 Cl 0.673 0.250 0.493


No. 10
A relaxed SmIn2Cl5 crystal, computed with meta-GGA r2SCAN.

## Properties
Magnetization = 0.000 μB per atom
Symmetry = Pnma, No. 62
Total energy = -478.57 eV for the cell shown

Lattice parameters (Å, degrees): 12.810 8.703 8.131 90.00 90.00 90.00
Element x y z (fractional)
1 Sm 0.005 0.250 0.076
2 Sm 0.495 0.750 0.576
3 Sm 0.505 0.250 0.424
4 Sm 0.995 0.750 0.924
5 In 0.172 0.005 0.550
6 In 0.172 0.495 0.550
7 In 0.328 0.505 0.050
8 In 0.328 0.995 0.050
9 In 0.672 0.005 0.950
10 In 0.672 0.495 0.950
11 In 0.828 0.505 0.450
12 In 0.828 0.995 0.450
13 Cl 0.008 0.250 0.416
14 Cl 0.072 0.545 0.165
15 Cl 0.072 0.955 0.165
16 Cl 0.184 0.250 0.893
17 Cl 0.203 0.750 0.842
18 Cl 0.297 0.250 0.342
19 Cl 0.316 0.750 0.393
20 Cl 0.428 0.045 0.665
21 Cl 0.428 0.455 0.665
22 Cl 0.492 0.750 0.916
23 Cl 0.508 0.250 0.084
24 Cl 0.572 0.545 0.335
25 Cl 0.572 0.955 0.335
26 Cl 0.684 0.250 0.607
27 Cl 0.703 0.750 0.658
28 Cl 0.797 0.250 0.158
29 Cl 0.816 0.750 0.107
30 Cl 0.928 0.045 0.835
31 Cl 0.928 0.455 0.835
32 Cl 0.992 0.750 0.584


No. 11
A relaxed Ta3In2Cl9 crystal, computed with meta-GGA r2SCAN.

## Properties
Magnetization = 0.000 μB per atom
Symmetry = C2/m, No. 12
Total energy = -528.67 eV for the cell shown

Lattice parameters (Å, degrees): 9.507 9.507 9.625 105.15 105.15 109.77
Element x y z (fractional)
1 Ta 0.036 0.221 0.640
2 Ta 0.103 0.103 0.369
3 Ta 0.221 0.036 0.640
4 Ta 0.779 0.964 0.360
5 Ta 0.897 0.897 0.631
6 Ta 0.964 0.779 0.360
7 In 0.237 0.543 0.162
8 In 0.457 0.763 0.838
9 In 0.543 0.237 0.162
10 In 0.763 0.457 0.838
11 Cl 0.080 0.858 0.176
12 Cl 0.082 0.507 0.824
13 Cl 0.142 0.920 0.824
14 Cl 0.165 0.387 0.511
15 Cl 0.221 0.779 0.500
16 Cl 0.236 0.236 0.203
17 Cl 0.311 0.311 0.835
18 Cl 0.387 0.165 0.511
19 Cl 0.493 0.918 0.176
20 Cl 0.507 0.082 0.824
21 Cl 0.613 0.835 0.489
22 Cl 0.689 0.689 0.165
23 Cl 0.764 0.764 0.797
24 Cl 0.779 0.221 0.500
25 Cl 0.835 0.613 0.489
26 Cl 0.858 0.080 0.176
27 Cl 0.918 0.493 0.176
28 Cl 0.920 0.142 0.824


No. 12
A relaxed InTeCl crystal, computed with meta-GGA r2SCAN.

## Properties
Magnetization = 0.000 μB per atom
Symmetry = P2_1/c, No. 14
Total energy = -452.98 eV for the cell shown

Lattice parameters (Å, degrees): 7.622 14.293 7.203 90.00 93.09 90.00
Element x y z (fractional)
1 In 0.179 0.189 0.370
2 In 0.179 0.311 0.870
3 In 0.204 0.023 0.870
4 In 0.204 0.477 0.370
5 In 0.796 0.523 0.630
6 In 0.796 0.977 0.130
7 In 0.821 0.689 0.130
8 In 0.821 0.811 0.630
9 Te 0.154 0.001 0.258
10 Te 0.154 0.499 0.758
11 Te 0.389 0.172 0.720
12 Te 0.389 0.328 0.220
13 Te 0.611 0.672 0.780
14 Te 0.611 0.828 0.280
15 Te 0.846 0.501 0.242
16 Te 0.846 0.999 0.742
17 Cl 0.063 0.735 0.485
18 Cl 0.063 0.765 0.985
19 Cl 0.391 0.601 0.277
20 Cl 0.391 0.899 0.777
21 Cl 0.609 0.101 0.223
22 Cl 0.609 0.399 0.723
23 Cl 0.937 0.235 0.015
24 Cl 0.937 0.265 0.515


Among the records above, which one has the highest total energy? number 3